! Ba5Ca2Ta3O15 (GGA-PBE, relaxed); values from VASP
&SYSTEM
  ibrav = 0, nat = 50, ntyp = 4
/
ATOMIC_SPECIES
Ba 137.33 Ba.upf
Ca 40.08 Ca.upf
Ta 180.95 Ta.upf
O 16.00 O.upf
ATOMIC_POSITIONS crystal
Ba 0.047 0.346 0.901
Ba 0.147 0.047 0.701
Ba 0.250 0.750 0.500
Ba 0.346 0.446 0.299
Ba 0.446 0.147 0.099
Ba 0.554 0.853 0.901
Ba 0.654 0.554 0.701
Ba 0.750 0.250 0.500
Ba 0.853 0.953 0.299
Ba 0.953 0.654 0.099
Ca 0.202 0.399 0.601
Ca 0.399 0.798 0.197
Ca 0.601 0.202 0.803
Ca 0.798 0.601 0.399
Ta 0.000 0.000 0.000
Ta 0.101 0.697 0.797
Ta 0.303 0.101 0.404
Ta 0.500 0.500 0.000
Ta 0.697 0.899 0.596
Ta 0.899 0.303 0.203
O 0.041 0.341 0.382
O 0.047 0.859 0.906
O 0.060 0.865 0.390
O 0.135 0.525 0.195
O 0.141 0.047 0.188
O 0.145 0.561 0.706
O 0.236 0.753 0.989
O 0.246 0.246 0.000
O 0.247 0.236 0.483
O 0.330 0.940 0.805
O 0.341 0.959 0.299
O 0.362 0.454 0.816
O 0.439 0.145 0.583
O 0.454 0.638 0.092
O 0.475 0.670 0.610
O 0.525 0.330 0.390
O 0.546 0.362 0.908
O 0.561 0.855 0.417
O 0.638 0.546 0.184
O 0.659 0.041 0.701
O 0.670 0.060 0.195
O 0.753 0.764 0.517
O 0.754 0.754 0.000
O 0.764 0.247 0.011
O 0.855 0.439 0.294
O 0.859 0.953 0.812
O 0.865 0.475 0.805
O 0.940 0.135 0.610
O 0.953 0.141 0.094
O 0.959 0.659 0.618
CELL_PARAMETERS angstrom
-6.763 6.763 4.244
6.763 -6.763 4.244
6.763 6.763 -4.244
! DFT total energy ... -7.87 eV per atom
! Size of the total moment ... 0.038 μB per atom
! Space group ... No. 87
! Energy of formation ... -3.351 eV per atom

***

! Y3Sn4BiO14 (GGA-PBE, relaxed); values from VASP
&SYSTEM
  ibrav = 0, nat = 22, ntyp = 4
/
ATOMIC_SPECIES
Y 88.91 Y.upf
Sn 118.71 Sn.upf
Bi 208.98 Bi.upf
O 16.00 O.upf
ATOMIC_POSITIONS crystal
Y 0.000 0.500 0.500
Y 0.500 0.000 0.500
Y 0.500 0.500 0.000
Sn 0.000 0.000 0.000
Sn 0.000 0.000 0.500
Sn 0.000 0.500 0.000
Sn 0.500 0.000 0.000
Bi 0.500 0.500 0.500
O 0.082 0.663 0.663
O 0.088 0.088 0.663
O 0.088 0.663 0.088
O 0.337 0.337 0.918
O 0.337 0.912 0.912
O 0.337 0.918 0.337
O 0.371 0.371 0.371
O 0.629 0.629 0.629
O 0.663 0.082 0.663
O 0.663 0.088 0.088
O 0.663 0.663 0.082
O 0.912 0.337 0.912
O 0.912 0.912 0.337
O 0.918 0.337 0.337
CELL_PARAMETERS angstrom
3.744 2.162 6.083
-3.744 2.162 6.083
0.000 -4.323 6.083
! DFT total energy ... -7.24 eV per atom
! Size of the total moment ... 0.000 μB per atom
! Space group ... No. 166
! Energy of formation ... -2.743 eV per atom

***

! La3FeCoS7 (GGA-PBE, relaxed); values from VASP
&SYSTEM
  ibrav = 0, nat = 24, ntyp = 4
/
ATOMIC_SPECIES
La 138.91 La.upf
Fe 55.84 Fe.upf
Co 58.93 Co.upf
S 32.06 S.upf
ATOMIC_POSITIONS crystal
La 0.142 0.770 0.000
La 0.230 0.372 0.000
La 0.372 0.142 0.500
La 0.628 0.858 0.000
La 0.770 0.628 0.500
La 0.858 0.230 0.500
Fe 0.333 0.667 0.588
Fe 0.667 0.333 0.088
Co 0.000 0.000 0.222
Co 0.000 0.000 0.722
S 0.084 0.864 0.469
S 0.097 0.517 0.722
S 0.136 0.220 0.469
S 0.220 0.084 0.969
S 0.333 0.667 0.210
S 0.420 0.903 0.722
S 0.483 0.580 0.722
S 0.517 0.420 0.222
S 0.580 0.097 0.222
S 0.667 0.333 0.710
S 0.780 0.916 0.469
S 0.864 0.780 0.969
S 0.903 0.483 0.222
S 0.916 0.136 0.969
CELL_PARAMETERS angstrom
10.175 0.000 0.000
-5.088 8.812 0.000
0.000 0.000 5.876
! DFT total energy ... -6.40 eV per atom
! Size of the total moment ... 0.541 μB per atom
! Space group ... No. 173
! Energy of formation ... -1.743 eV per atom

***

! Al2Si2CNO10 (GGA-PBE, relaxed); values from VASP
&SYSTEM
  ibrav = 0, nat = 32, ntyp = 5
/
ATOMIC_SPECIES
Al 26.98 Al.upf
Si 28.09 Si.upf
C 12.01 C.upf
N 14.01 N.upf
O 16.00 O.upf
ATOMIC_POSITIONS crystal
Al 0.129 0.871 0.500
Al 0.231 0.847 0.000
Al 0.847 0.231 0.500
Al 0.871 0.129 0.000
Si 0.210 0.628 0.632
Si 0.628 0.210 0.132
Si 0.894 0.969 0.632
Si 0.969 0.894 0.132
C 0.398 0.598 0.311
C 0.598 0.398 0.811
N 0.389 0.796 0.284
N 0.796 0.389 0.784
O 0.041 0.313 0.661
O 0.071 0.127 0.450
O 0.094 0.840 0.662
O 0.127 0.071 0.950
O 0.132 0.580 0.553
O 0.184 0.505 0.035
O 0.313 0.041 0.161
O 0.407 0.408 0.337
O 0.408 0.407 0.837
O 0.466 0.909 0.456
O 0.505 0.184 0.535
O 0.519 0.848 0.950
O 0.562 0.781 0.652
O 0.580 0.132 0.053
O 0.781 0.562 0.152
O 0.840 0.094 0.162
O 0.848 0.519 0.450
O 0.896 0.961 0.554
O 0.909 0.466 0.956
O 0.961 0.896 0.054
CELL_PARAMETERS angstrom
2.619 -4.537 0.000
2.619 4.537 0.000
-2.597 0.000 20.955
! DFT total energy ... -6.93 eV per atom
! Size of the total moment ... 0.314 μB per atom
! Space group ... No. 9
! Energy of formation ... -2.022 eV per atom

***

! Mn4BiSb3 (GGA-PBE, relaxed); values from VASP
&SYSTEM
  ibrav = 0, nat = 8, ntyp = 3
/
ATOMIC_SPECIES
Mn 54.94 Mn.upf
Bi 208.98 Bi.upf
Sb 121.76 Sb.upf
ATOMIC_POSITIONS crystal
Mn 0.000 0.244 0.000
Mn 0.000 0.756 0.000
Mn 0.500 0.247 0.485
Mn 0.500 0.753 0.485
Bi 0.500 0.500 0.825
Sb 0.000 0.000 0.660
Sb 0.000 0.500 0.327
Sb 0.500 0.000 0.158
CELL_PARAMETERS angstrom
4.164 0.000 0.000
0.000 5.663 0.000
0.000 0.000 7.188
! DFT total energy ... -6.58 eV per atom
! Size of the total moment ... 1.638 μB per atom
! Space group ... No. 25
! Energy of formation ... -0.035 eV per atom

***

! CdCl2O4 (GGA-PBE, relaxed); values from VASP
&SYSTEM
  ibrav = 0, nat = 56, ntyp = 3
/
ATOMIC_SPECIES
Cd 112.41 Cd.upf
Cl 35.45 Cl.upf
O 16.00 O.upf
ATOMIC_POSITIONS crystal
Cd 0.244 0.010 0.248
Cd 0.248 0.015 0.996
Cd 0.252 0.985 0.496
Cd 0.256 0.990 0.748
Cd 0.744 0.490 0.752
Cd 0.748 0.485 0.004
Cd 0.752 0.515 0.504
Cd 0.756 0.510 0.252
Cl 0.004 0.492 0.128
Cl 0.007 0.971 0.624
Cl 0.015 0.961 0.124
Cl 0.026 0.943 0.872
Cl 0.474 0.057 0.372
Cl 0.485 0.039 0.624
Cl 0.493 0.029 0.124
Cl 0.496 0.508 0.628
Cl 0.504 0.008 0.872
Cl 0.507 0.529 0.376
Cl 0.515 0.539 0.876
Cl 0.526 0.557 0.128
Cl 0.974 0.443 0.628
Cl 0.985 0.461 0.376
Cl 0.993 0.471 0.876
Cl 0.996 0.992 0.372
O 0.137 0.186 0.992
O 0.159 0.221 0.512
O 0.160 0.221 0.226
O 0.170 0.201 0.782
O 0.189 0.676 0.500
O 0.233 0.703 0.721
O 0.239 0.704 0.993
O 0.241 0.717 0.278
O 0.259 0.283 0.778
O 0.261 0.296 0.493
O 0.267 0.297 0.221
O 0.311 0.324 0.000
O 0.330 0.799 0.282
O 0.340 0.779 0.726
O 0.341 0.779 0.012
O 0.363 0.814 0.492
O 0.637 0.314 0.008
O 0.659 0.279 0.488
O 0.660 0.279 0.774
O 0.670 0.299 0.218
O 0.689 0.824 0.500
O 0.733 0.797 0.279
O 0.739 0.796 0.007
O 0.741 0.783 0.722
O 0.759 0.217 0.222
O 0.761 0.204 0.507
O 0.767 0.203 0.779
O 0.811 0.176 0.000
O 0.830 0.701 0.718
O 0.840 0.721 0.274
O 0.841 0.721 0.988
O 0.863 0.686 0.508
CELL_PARAMETERS angstrom
7.005 0.000 0.000
0.000 12.832 0.000
0.000 0.000 14.939
! Excess energy over the best structure of this formula in the dataset ... 52 meV/atom
! DFT total energy ... -3.54 eV per atom
! Size of the total moment ... 0.568 μB per atom
! Space group ... No. 19
! Energy of formation ... -0.141 eV per atom

***

Q: Which formula does entry 4 have?
A: Al2Si2CNO10